The following is a DFT calculation (r²SCAN) of TmIO after structural relaxation.

formation energy = -3.051 eV per atom
total energy = -149.6 eV for the cell shown

Cell lengths 3.867, 3.867, 9.606 Å; angles 90.00, 90.00, 90.00 degrees
Sites, in units of the cell vectors:
Tm 0.250 0.250 0.110
Tm 0.750 0.750 0.890
I 0.250 0.250 0.692
I 0.750 0.750 0.308
O 0.250 0.750 0.000
O 0.750 0.250 0.000

***

The following is a DFT calculation (r²SCAN) of YIO after structural relaxation.

formation energy = -3.020 eV per atom
total energy = -119.8 eV for the cell shown

Cell lengths 3.939, 3.939, 9.486 Å; angles 90.00, 90.00, 90.00 degrees
Sites, in units of the cell vectors:
Y 0.000 0.500 0.114
Y 0.500 0.000 0.886
I 0.000 0.500 0.685
I 0.500 0.000 0.315
O 0.000 0.000 0.000
O 0.500 0.500 0.000

***

The following is a DFT calculation (r²SCAN) of YI3O9 after structural relaxation.

formation energy = -1.108 eV per atom
total energy = -648.6 eV for the cell shown

Cell lengths 5.975, 8.695, 16.427 Å; angles 65.34, 90.00, 90.00 degrees
Sites, in units of the cell vectors:
Y 0.285 0.146 0.397
Y 0.715 0.854 0.603
Y 0.215 0.146 0.897
Y 0.785 0.854 0.103
I 0.902 0.419 0.700
I 0.851 0.357 0.979
I 0.598 0.419 0.200
I 0.149 0.643 0.021
I 0.814 0.925 0.355
I 0.186 0.075 0.645
I 0.649 0.357 0.479
I 0.402 0.581 0.800
I 0.098 0.581 0.300
I 0.686 0.925 0.855
I 0.351 0.643 0.521
I 0.314 0.075 0.145
O 0.620 0.128 0.513
O 0.588 0.342 0.112
O 0.892 0.095 0.830
O 0.912 0.342 0.612
O 0.380 0.115 0.031
O 0.608 0.095 0.330
O 0.429 0.355 0.558
O 0.822 0.657 0.256
O 0.441 0.058 0.810
O 0.973 0.606 0.118
O 0.490 0.363 0.864
O 0.880 0.128 0.013
O 0.510 0.637 0.136
O 0.941 0.942 0.690
O 0.990 0.637 0.636
O 0.929 0.645 0.942
O 0.059 0.058 0.310
O 0.571 0.645 0.442
O 0.620 0.885 0.969
O 0.010 0.363 0.364
O 0.412 0.658 0.888
O 0.120 0.872 0.987
O 0.473 0.394 0.382
O 0.392 0.905 0.670
O 0.108 0.905 0.170
O 0.027 0.394 0.882
O 0.527 0.606 0.618
O 0.088 0.658 0.388
O 0.071 0.355 0.058
O 0.120 0.115 0.531
O 0.678 0.657 0.756
O 0.380 0.872 0.487
O 0.559 0.942 0.190
O 0.880 0.885 0.469
O 0.322 0.343 0.244
O 0.178 0.343 0.744

***

The following is a DFT calculation (r²SCAN) of Pr4OsI5 after structural relaxation.

formation energy = -1.279 eV per atom
total energy = -306.2 eV for the cell shown

Cell lengths 10.157, 10.157, 9.251 Å; angles 76.79, 76.79, 24.68 degrees
Sites, in units of the cell vectors:
Pr 0.858 0.858 0.075
Pr 0.142 0.142 0.925
Pr 0.500 0.500 0.212
Pr 0.500 0.500 0.788
Os 0.000 0.000 0.000
I 0.673 0.673 0.169
I 0.327 0.327 0.831
I 0.669 0.669 0.658
I 0.331 0.331 0.342
I 0.000 0.000 0.500

***

The following is a DFT calculation (r²SCAN) of PI2 after structural relaxation.

formation energy = -0.076 eV per atom
total energy = -116.7 eV for the cell shown

Cell lengths 4.690, 7.333, 7.494 Å; angles 80.38, 73.91, 80.52 degrees
Sites, in units of the cell vectors:
P 0.597 0.135 0.964
P 0.403 0.865 0.036
I 0.440 0.226 0.668
I 0.560 0.774 0.332
I 0.192 0.301 0.191
I 0.808 0.699 0.809

***

The following is a DFT calculation (r²SCAN) of Rb4P21I after structural relaxation.

formation energy = -0.363 eV per atom
total energy = -557.6 eV for the cell shown

Cell lengths 12.960, 12.960, 9.867 Å; angles 90.00, 90.00, 116.33 degrees
Sites, in units of the cell vectors:
Rb 0.241 0.068 0.250
Rb 0.759 0.932 0.750
Rb 0.068 0.241 0.250
Rb 0.932 0.759 0.750
Rb 0.380 0.620 0.500
Rb 0.620 0.380 0.000
Rb 0.620 0.380 0.500
Rb 0.380 0.620 0.000
P 0.950 0.950 0.250
P 0.050 0.050 0.750
P 0.662 0.201 0.250
P 0.338 0.799 0.750
P 0.201 0.662 0.250
P 0.799 0.338 0.750
P 0.315 0.014 0.923
P 0.685 0.986 0.423
P 0.014 0.315 0.577
P 0.986 0.685 0.077
P 0.058 0.501 0.916
P 0.942 0.499 0.416
P 0.501 0.058 0.584
P 0.499 0.942 0.084
P 0.942 0.499 0.084
P 0.058 0.501 0.584
P 0.499 0.942 0.416
P 0.501 0.058 0.916
P 0.153 0.153 0.912
P 0.847 0.847 0.412
P 0.153 0.153 0.588
P 0.847 0.847 0.088
P 0.945 0.505 0.750
P 0.055 0.495 0.250
P 0.505 0.945 0.750
P 0.495 0.055 0.250
P 0.891 0.238 0.750
P 0.109 0.762 0.250
P 0.238 0.891 0.750
P 0.762 0.109 0.250
P 0.183 0.332 0.864
P 0.817 0.668 0.364
P 0.332 0.183 0.636
P 0.668 0.817 0.136
P 0.817 0.668 0.136
P 0.183 0.332 0.636
P 0.668 0.817 0.364
P 0.332 0.183 0.864
P 0.014 0.315 0.923
P 0.986 0.685 0.423
P 0.315 0.014 0.577
P 0.685 0.986 0.077
I 0.395 0.395 0.250
I 0.605 0.605 0.750

***

The following is a DFT calculation (r²SCAN) of P3Se4I after structural relaxation.

formation energy = -0.074 eV per atom
total energy = -437.6 eV for the cell shown

Cell lengths 6.728, 11.654, 14.610 Å; angles 61.75, 90.00, 90.00 degrees
Sites, in units of the cell vectors:
P 0.152 0.821 0.127
P 0.652 0.179 0.373
P 0.848 0.179 0.873
P 0.348 0.821 0.627
P 0.906 0.674 0.991
P 0.406 0.326 0.509
P 0.094 0.326 0.009
P 0.594 0.674 0.491
P 0.224 0.711 0.954
P 0.724 0.289 0.546
P 0.776 0.289 0.046
P 0.276 0.711 0.454
Se 0.289 0.891 0.968
Se 0.789 0.109 0.532
Se 0.711 0.109 0.032
Se 0.211 0.891 0.468
Se 0.850 0.745 0.108
Se 0.350 0.255 0.392
Se 0.150 0.255 0.892
Se 0.650 0.745 0.608
Se 0.326 0.545 0.106
Se 0.826 0.455 0.394
Se 0.674 0.455 0.894
Se 0.174 0.545 0.606
Se 0.322 0.639 0.221
Se 0.822 0.361 0.279
Se 0.678 0.361 0.779
Se 0.178 0.639 0.721
I 0.775 0.850 0.820
I 0.275 0.150 0.680
I 0.225 0.150 0.180
I 0.725 0.850 0.320

***

The following is a DFT calculation (r²SCAN) of PaI3 after structural relaxation.

formation energy = -1.131 eV per atom
total energy = -310.1 eV for the cell shown

Cell lengths 11.379, 11.384, 3.980 Å; angles 89.98, 90.05, 120.03 degrees
Sites, in units of the cell vectors:
Pa 0.667 0.333 0.250
Pa 0.333 0.667 0.750
I 0.790 0.211 0.750
I 0.421 0.210 0.750
I 0.789 0.579 0.750
I 0.211 0.790 0.250
I 0.579 0.789 0.250
I 0.210 0.421 0.250

***

The following is a DFT calculation (r²SCAN) of TePdI2 after structural relaxation.

formation energy = -0.276 eV per atom
total energy = -197.2 eV for the cell shown

Cell lengths 4.050, 7.077, 9.722 Å; angles 67.59, 89.66, 89.76 degrees
Sites, in units of the cell vectors:
Te 0.247 0.512 0.142
Te 0.753 0.488 0.858
Pd 0.250 0.242 0.019
Pd 0.750 0.758 0.981
I 0.253 0.039 0.820
I 0.249 0.700 0.596
I 0.747 0.961 0.180
I 0.751 0.300 0.404

***

The following is a DFT calculation (r²SCAN) of TePdI after structural relaxation.

formation energy = -0.364 eV per atom
total energy = -296.1 eV for the cell shown

Cell lengths 5.757, 7.978, 7.978 Å; angles 90.00, 90.00, 90.00 degrees
Sites, in units of the cell vectors:
Te 0.000 0.210 0.000
Te 0.500 0.000 0.210
Te 0.500 0.000 0.790
Te 0.000 0.790 0.000
Pd 0.000 0.000 0.250
Pd 0.500 0.750 0.000
Pd 0.500 0.250 0.000
Pd 0.000 0.000 0.750
I 0.000 0.236 0.500
I 0.500 0.500 0.236
I 0.500 0.500 0.764
I 0.000 0.764 0.500

***

The following is a DFT calculation (r²SCAN) of PmI after structural relaxation.

formation energy = -1.094 eV per atom
total energy = -56.3 eV for the cell shown

Cell lengths 3.966, 3.966, 4.604 Å; angles 90.00, 90.00, 120.00 degrees
Sites, in units of the cell vectors:
Pm 0.333 0.667 0.000
I 0.667 0.333 0.500

***

The following is a DFT calculation (r²SCAN) of PrI2 after structural relaxation.

formation energy = -1.533 eV per atom
total energy = -332.5 eV for the cell shown

Cell lengths 8.894, 8.894, 8.892 Å; angles 60.00, 60.01, 60.02 degrees
Sites, in units of the cell vectors:
Pr 0.361 0.361 0.361
Pr 0.361 0.918 0.361
Pr 0.361 0.360 0.918
Pr 0.918 0.360 0.361
I 0.623 0.623 0.623
I 0.112 0.665 0.112
I 0.623 0.131 0.623
I 0.131 0.623 0.623
I 0.665 0.112 0.112
I 0.111 0.112 0.112
I 0.623 0.623 0.131
I 0.112 0.112 0.665

***

The following is a DFT calculation (r²SCAN) of PrI3 after structural relaxation.

formation energy = -1.601 eV per atom
total energy = -219.0 eV for the cell shown

Cell lengths 11.144, 11.144, 4.172 Å; angles 90.00, 90.00, 120.00 degrees
Sites, in units of the cell vectors:
Pr 0.333 0.667 0.750
Pr 0.667 0.333 0.250
I 0.210 0.419 0.250
I 0.581 0.790 0.250
I 0.210 0.790 0.250
I 0.790 0.581 0.750
I 0.419 0.210 0.750
I 0.790 0.210 0.750

***

The following is a DFT calculation (r²SCAN) of Pr3PtI3 after structural relaxation.

formation energy = -1.448 eV per atom
total energy = -894.0 eV for the cell shown

Cell lengths 10.940, 10.940, 10.940 Å; angles 109.28, 109.86, 109.28 degrees
Sites, in units of the cell vectors:
Pr 0.041 0.269 0.022
Pr 0.748 0.020 0.478
Pr 0.269 0.750 0.231
Pr 0.481 0.750 0.019
Pr 0.752 0.231 0.272
Pr 0.022 0.480 0.752
Pr 0.228 0.269 0.748
Pr 0.478 0.231 0.459
Pr 0.459 0.480 0.228
Pr 0.272 0.020 0.041
Pr 0.019 0.038 0.269
Pr 0.231 0.462 0.481
Pt 0.500 0.000 0.250
Pt 0.250 0.500 0.000
Pt 0.250 0.250 0.250
Pt 0.000 0.250 0.500
I 0.759 0.741 0.251
I 0.990 0.508 0.249
I 0.249 0.759 0.741
I 0.759 0.517 0.509
I 0.509 0.250 0.991
I 0.741 0.992 0.982
I 0.991 0.983 0.741
I 0.518 0.508 0.759
I 0.251 0.992 0.510
I 0.741 0.250 0.758
I 0.510 0.759 0.518
I 0.982 0.741 0.990

***

The following is a DFT calculation (r²SCAN) of PrSiI after structural relaxation.

formation energy = -1.203 eV per atom
total energy = -132.7 eV for the cell shown

Cell lengths 4.213, 4.213, 11.988 Å; angles 90.00, 90.00, 120.00 degrees
Sites, in units of the cell vectors:
Pr 0.000 0.000 0.167
Pr 0.000 0.000 0.833
Si 0.333 0.667 0.006
Si 0.667 0.333 0.994
I 0.333 0.667 0.653
I 0.667 0.333 0.347

***

The following is a DFT calculation (r²SCAN) of PtI3 after structural relaxation.

formation energy = -0.209 eV per atom
total energy = -504.0 eV for the cell shown

Cell lengths 6.980, 7.041, 13.429 Å; angles 84.35, 78.54, 60.29 degrees
Sites, in units of the cell vectors:
Pt 0.095 0.809 0.750
Pt 0.905 0.191 0.250
Pt 0.500 0.500 0.500
Pt 0.000 0.500 0.000
I 0.808 0.125 0.640
I 0.067 0.125 0.860
I 0.192 0.875 0.360
I 0.933 0.875 0.140
I 0.846 0.504 0.380
I 0.651 0.504 0.120
I 0.154 0.496 0.620
I 0.349 0.496 0.880
I 0.245 0.201 0.122
I 0.554 0.201 0.378
I 0.755 0.799 0.878
I 0.446 0.799 0.622